Entry 1:
This record from Materials Project describes Ba2H14C12S4N4O15 after structural relaxation. The functional is PBE. Values from VASP.

Summary:
- Total DFT energy (no corrections): -6.4535 eV per atom
- Energy with MP2020 corrections: -6.695 eV per atom
- Calculated formation energy: -1.083 eV/atom
- Magnetization: 0.0 μB per formula unit

```
&SYSTEM
  ibrav = 0, nat = 102, ntyp = 6
/
ATOMIC_SPECIES
Ba 137.33 Ba.upf
H 1.01 H.upf
C 12.01 C.upf
S 32.06 S.upf
N 14.01 N.upf
O 16.00 O.upf
ATOMIC_POSITIONS angstrom
Ba 1.436 1.036 5.199
Ba -0.424 -1.036 16.291
Ba 10.920 1.036 5.893
Ba 9.061 -1.036 16.985
H 4.023 2.558 3.545
H 3.908 3.378 14.300
H 4.729 3.378 18.976
H 6.027 2.540 4.784
H 6.328 2.540 6.308
H 3.897 1.796 14.289
H 0.501 0.301 18.881
H 2.360 -0.301 7.789
H 4.740 1.796 18.987
H 8.332 2.558 7.547
H 4.905 0.198 4.987
H 4.846 0.156 6.549
H 3.046 -0.198 16.079
H 2.987 -0.156 17.641
H 7.509 0.156 4.543
H 7.450 0.198 6.105
H 5.650 -0.156 15.635
H 5.591 -0.198 17.197
H 2.164 -2.558 14.637
H 5.756 -1.796 3.197
H 8.136 0.301 14.395
H 9.995 -0.301 3.303
H 6.599 -1.796 7.895
H 4.168 -2.540 15.876
H 4.469 -2.540 17.399
H 5.767 -3.378 3.208
H 6.589 -3.378 7.884
H 6.473 -2.558 18.639
C 1.671 2.770 21.392
C 3.047 2.226 8.203
C 0.113 0.710 12.911
C -1.981 0.347 21.848
C -0.122 -0.347 10.757
C 5.570 1.722 1.391
C 1.972 -0.710 1.819
C 6.966 2.770 11.883
C 5.645 0.717 2.503
C 6.785 1.722 9.701
C 9.308 2.226 2.889
C 6.710 0.717 8.589
C 3.786 -0.717 13.595
C 1.188 -2.226 19.294
C 3.711 -1.722 12.483
C 4.851 -0.717 19.681
C 3.531 -2.770 10.301
C 8.524 0.710 20.364
C 4.926 -1.722 20.793
C 10.618 0.347 11.427
C 12.477 -0.347 0.335
C 10.383 -0.710 9.273
C 7.449 -2.226 13.981
C 8.825 -2.770 0.791
S 3.314 2.681 10.914
S 1.824 1.137 21.931
S 9.041 2.681 0.178
S 6.813 1.137 11.345
S 3.683 -1.137 10.839
S 1.455 -2.681 22.006
S 8.672 -1.137 0.253
S 7.182 -2.681 11.270
N 5.477 3.034 1.557
N 1.841 0.594 2.009
N 6.878 3.034 9.535
N -0.018 -0.594 13.100
N 10.514 0.594 9.083
N 3.618 -3.034 12.649
N 8.655 -0.594 20.175
N 5.019 -3.034 20.627
O 0.428 1.334 15.185
O 0.160 0.998 18.240
O 6.178 3.152 5.546
O 3.970 2.597 14.893
O 2.937 1.032 8.616
O 4.667 2.597 18.383
O 5.603 1.165 3.707
O 2.019 -0.998 7.149
O 2.543 0.191 16.844
O 3.859 0.493 13.251
O 2.287 -1.334 4.093
O 4.402 -0.191 5.752
O 6.752 1.165 7.385
O 1.078 -1.032 19.708
O 5.718 -0.493 2.159
O 4.778 0.493 20.024
O 9.418 1.032 2.476
O 3.744 -1.165 14.798
O 6.094 0.191 16.431
O 8.209 1.334 18.091
O 6.637 -0.493 8.933
O 7.953 -0.191 5.340
O 8.477 0.998 15.035
O 4.893 -1.165 18.477
O 5.829 -2.597 3.801
O 7.559 -1.032 13.568
O 6.526 -2.597 7.291
O 4.318 -3.152 16.638
O 10.336 -0.998 3.943
O 10.068 -1.334 6.999
CELL_PARAMETERS angstrom
7.107 -3.964 0.000
7.107 3.964 0.000
-3.718 0.000 22.184
```



Entry 2:
This record from Materials Project describes BaH6C2SNO5 after structural relaxation. The functional is PBE. Values from VASP.

Summary:
- Total DFT energy (no corrections): -5.9553 eV per atom
- Energy with MP2020 corrections: -6.201 eV per atom
- Calculated formation energy: -1.330 eV/atom
- Magnetization: 0.0 μB per formula unit

```
&SYSTEM
  ibrav = 0, nat = 32, ntyp = 6
/
ATOMIC_SPECIES
Ba 137.33 Ba.upf
H 1.01 H.upf
C 12.01 C.upf
S 32.06 S.upf
N 14.01 N.upf
O 16.00 O.upf
ATOMIC_POSITIONS angstrom
Ba 3.395 1.020 4.805
Ba 9.326 4.987 4.849
H 1.186 0.176 2.323
H 2.284 2.819 1.945
H 3.777 3.283 2.063
H 4.808 5.349 2.480
H 7.326 5.804 7.694
H 5.623 0.584 7.503
H 7.098 5.423 2.151
H 5.395 0.204 1.959
H 7.913 0.659 7.174
H 8.944 2.724 7.591
H 10.437 3.189 7.708
H 11.535 5.832 7.331
C 6.398 2.981 8.382
C 5.925 3.650 4.913
C 6.796 2.358 4.741
C 6.323 3.027 1.272
S 5.675 4.329 8.955
S 7.047 1.679 0.699
N 6.928 1.994 7.981
N 5.793 4.013 1.673
O 4.313 6.046 2.989
O 3.006 2.977 2.587
O 4.670 3.495 4.974
O 5.084 -0.088 7.021
O 6.538 4.754 4.979
O 6.183 1.253 4.675
O 7.637 6.095 2.633
O 8.051 2.513 4.679
O 9.715 3.031 7.067
O 8.408 -0.038 6.665
CELL_PARAMETERS angstrom
6.964 0.000 0.000
2.692 6.447 0.000
3.064 -0.439 9.654
```



Entry 3:
This record from Materials Project describes BaH6C4O10 after structural relaxation. The functional is PBE. Values from VASP.

Summary:
- Total DFT energy (no corrections): -6.4718 eV per atom
- Energy with MP2020 corrections: -6.799 eV per atom
- Calculated formation energy: -1.624 eV/atom
- Magnetization: 0.0 μB per formula unit

```
&SYSTEM
  ibrav = 0, nat = 42, ntyp = 4
/
ATOMIC_SPECIES
Ba 137.33 Ba.upf
H 1.01 H.upf
C 12.01 C.upf
O 16.00 O.upf
ATOMIC_POSITIONS angstrom
Ba 3.203 1.790 8.488
Ba 5.928 -1.790 2.829
H 1.351 0.516 0.489
H 3.580 1.310 2.130
H -0.817 0.443 8.407
H -1.373 -0.516 6.148
H 1.907 -0.443 2.748
H 8.275 1.310 3.529
H 0.855 -1.310 7.788
H 7.223 0.443 8.569
H 10.504 0.516 5.170
H 9.948 -0.443 2.910
H 5.551 -1.310 9.188
H 7.779 -0.516 10.828
C 0.495 0.870 6.086
C 6.831 0.589 0.204
C 3.220 -0.870 0.427
C 5.024 0.589 5.455
C 4.106 -0.589 5.862
C 5.910 0.870 10.890
C 2.299 -0.589 11.114
C 8.635 -0.870 5.231
O -0.654 0.572 5.604
O -1.658 0.490 8.903
O 1.094 1.379 10.507
O 0.967 0.435 7.169
O -3.379 -0.572 11.263
O 1.066 -0.490 3.245
O 5.312 1.379 6.469
O 6.441 0.731 1.363
O 5.414 0.731 4.296
O 3.692 -0.435 1.511
O 5.439 0.435 9.807
O 3.717 -0.731 7.022
O 2.689 -0.731 9.954
O 3.819 -1.379 4.848
O 8.064 0.490 8.073
O 12.509 0.572 0.054
O 8.163 -0.435 4.148
O 8.036 -1.379 0.811
O 10.789 -0.490 2.414
O 9.784 -0.572 5.713
CELL_PARAMETERS angstrom
7.290 -2.741 0.000
7.290 2.741 0.000
-5.449 0.000 11.317
```



Entry 4:
This record from Materials Project describes Ba2H2C4O9 after structural relaxation. The functional is PBE. Values from VASP.

Summary:
- Total DFT energy (no corrections): -7.0913 eV per atom
- Energy with MP2020 corrections: -7.455 eV per atom
- Calculated formation energy: -2.039 eV/atom
- Magnetization: 0.0 μB per formula unit

```
&SYSTEM
  ibrav = 0, nat = 34, ntyp = 4
/
ATOMIC_SPECIES
Ba 137.33 Ba.upf
H 1.01 H.upf
C 12.01 C.upf
O 16.00 O.upf
ATOMIC_POSITIONS angstrom
Ba 1.499 1.470 0.690
Ba 2.543 5.574 2.621
Ba 6.200 7.045 6.225
Ba 7.244 11.148 8.156
H 1.454 2.225 4.139
H 3.367 9.454 3.791
H 5.376 3.164 5.055
H 7.288 10.394 4.707
C 1.974 4.700 6.129
C 3.080 8.328 7.248
C 4.020 9.397 7.895
C 3.493 4.347 6.088
C 5.250 8.271 2.758
C 4.722 3.221 0.951
C 5.663 4.290 1.598
C 6.769 7.918 2.717
O 1.844 8.620 7.160
O 1.362 4.644 7.245
O 1.428 5.066 5.051
O 2.676 10.111 3.489
O 3.486 10.210 8.709
O 3.602 7.224 6.906
O 3.490 3.266 1.262
O 4.091 4.224 7.201
O 4.007 4.241 4.933
O 4.735 8.378 3.913
O 4.652 8.394 1.645
O 5.252 9.352 7.584
O 5.141 5.395 1.940
O 5.257 2.408 0.137
O 6.067 2.507 5.357
O 7.315 7.552 3.795
O 7.380 7.975 1.601
O 6.898 3.999 1.686
CELL_PARAMETERS angstrom
6.473 0.000 0.000
1.205 8.610 0.000
1.064 4.008 8.846
```



Entry 5:
This record from Materials Project describes BaH2C4O8 after structural relaxation. The functional is PBE. Values from VASP.

Summary:
- Total DFT energy (no corrections): -6.7082 eV per atom
- Energy with MP2020 corrections: -7.075 eV per atom
- Calculated formation energy: -1.394 eV/atom
- Magnetization: 2.0 μB per formula unit

```
&SYSTEM
  ibrav = 0, nat = 30, ntyp = 4
/
ATOMIC_SPECIES
Ba 137.33 Ba.upf
H 1.01 H.upf
C 12.01 C.upf
O 16.00 O.upf
ATOMIC_POSITIONS angstrom
Ba 5.658 1.697 8.088
Ba 8.279 -1.697 2.696
H -0.999 0.158 8.471
H 1.622 -0.158 3.080
H 12.315 0.158 7.704
H 14.937 -0.158 2.312
C 0.962 0.352 6.269
C 3.583 -0.352 0.877
C 9.041 0.565 0.062
C 7.518 0.565 5.330
C 6.419 -0.565 5.453
C 4.896 -0.565 10.722
C 10.354 0.352 9.906
C 12.975 -0.352 4.515
O 3.779 1.506 5.500
O 3.602 1.303 9.842
O 4.020 0.136 1.851
O 1.399 -0.136 7.242
O 7.714 1.303 6.334
O 8.433 0.643 1.182
O 7.537 1.506 10.675
O 8.126 0.643 4.210
O 5.811 -0.643 6.574
O 6.400 -1.506 0.108
O 5.504 -0.643 9.601
O 6.224 -1.303 4.450
O 12.538 0.136 3.541
O 9.917 -0.136 8.933
O 10.335 -1.303 0.942
O 10.159 -1.506 5.283
CELL_PARAMETERS angstrom
9.590 -2.368 0.000
9.590 2.368 0.000
-5.243 0.000 10.784
```



Entry 6:
This record from Materials Project describes BaH4C3O6 after structural relaxation. The functional is PBE. Values from VASP.

Summary:
- Total DFT energy (no corrections): -6.4778 eV per atom
- Energy with MP2020 corrections: -6.772 eV per atom
- Calculated formation energy: -1.568 eV/atom
- Magnetization: 0.0 μB per formula unit

```
&SYSTEM
  ibrav = 0, nat = 56, ntyp = 4
/
ATOMIC_SPECIES
Ba 137.33 Ba.upf
H 1.01 H.upf
C 12.01 C.upf
O 16.00 O.upf
ATOMIC_POSITIONS angstrom
Ba 0.365 4.695 0.404
Ba -0.365 9.592 0.404
Ba -2.448 6.778 3.166
Ba 2.448 7.509 3.166
H 2.136 1.794 -0.182
H 3.928 -3.169 2.342
H 5.350 -5.008 3.752
H 5.672 6.670 -1.175
H 6.465 3.219 0.624
H 3.925 -0.679 2.946
H 1.472 0.473 2.394
H 3.974 3.215 1.228
H 3.219 7.822 -0.624
H 3.215 10.313 -1.228
H 7.617 5.672 1.175
H -0.473 1.472 4.745
H 5.008 5.350 3.387
H 0.679 3.925 4.193
H 1.794 12.151 0.182
H 3.169 3.928 4.797
C 10.145 3.978 -1.836
C 5.674 5.863 -1.930
C 7.108 2.322 0.503
C 1.469 1.281 1.639
C 4.822 -0.035 3.067
C 2.322 7.179 -0.503
C -3.002 3.166 1.733
C 3.978 4.142 1.836
C 8.424 5.674 1.930
C -1.281 1.469 5.500
C 0.035 4.822 4.072
C 3.166 3.002 5.406
O 12.140 -0.963 0.559
O 6.913 1.573 -0.520
O 6.296 -2.114 1.383
O 2.125 2.886 -0.982
O 6.180 -4.996 3.011
O 6.268 4.802 -1.720
O 2.147 0.963 0.559
O 9.258 -0.847 2.187
O 11.401 2.125 0.982
O 7.990 2.114 1.383
O 5.029 0.847 2.187
O 0.876 2.342 1.849
O -2.181 4.110 1.807
O 5.570 -0.230 4.090
O 1.573 7.374 0.520
O 3.033 4.963 1.763
O 5.019 4.257 2.587
O 2.342 -0.876 5.290
O 8.107 4.996 3.011
O 4.802 8.019 1.720
O 0.230 5.570 3.049
O -3.033 9.324 1.763
O 2.181 10.177 1.807
O -4.257 5.019 4.552
CELL_PARAMETERS angstrom
-7.143 7.143 3.570
7.143 -7.143 3.570
7.143 7.143 -3.570
```



Entry 7:
This record from Materials Project describes BaH3C3O7 after structural relaxation. The functional is PBE. Values from VASP.

Summary:
- Total DFT energy (no corrections): -6.7671 eV per atom
- Energy with MP2020 corrections: -7.111 eV per atom
- Calculated formation energy: -1.795 eV/atom
- Magnetization: 0.0 μB per formula unit

```
&SYSTEM
  ibrav = 0, nat = 56, ntyp = 4
/
ATOMIC_SPECIES
Ba 137.33 Ba.upf
H 1.01 H.upf
C 12.01 C.upf
O 16.00 O.upf
ATOMIC_POSITIONS angstrom
Ba -0.965 1.540 2.531
Ba -3.360 7.616 5.884
Ba 4.331 10.695 0.823
Ba 1.936 16.771 4.176
H -3.176 11.067 5.673
H -0.782 16.399 2.320
H -2.014 10.367 4.787
H 0.381 17.099 1.434
H 0.288 13.735 2.358
H -2.106 13.731 5.711
H 3.077 4.579 0.996
H 0.682 4.576 4.349
H 0.590 1.212 5.273
H 2.984 7.944 1.920
H 1.752 1.912 4.387
H 4.147 7.244 1.034
C -2.670 4.304 4.346
C -0.276 4.851 0.993
C 1.128 4.168 1.103
C -1.267 4.987 4.456
C 0.003 9.441 3.902
C 2.397 18.025 0.549
C -1.426 0.286 6.158
C 0.968 8.869 2.805
C 2.238 13.324 2.251
C -0.157 14.142 5.604
C 1.246 13.460 5.714
C 3.641 14.006 2.361
O -2.707 3.078 4.073
O -0.313 6.077 0.720
O -1.128 13.237 2.140
O -3.523 14.229 5.494
O -1.001 10.101 3.488
O 1.393 17.365 0.135
O -2.509 10.335 5.663
O -0.115 17.131 2.310
O -1.702 0.051 4.943
O 0.693 9.104 1.590
O 1.250 2.984 1.416
O -1.145 6.172 4.770
O -0.271 4.158 4.200
O 2.124 4.998 0.846
O -1.153 13.313 5.861
O 1.241 14.153 2.507
O 2.116 12.139 1.937
O -0.279 15.327 5.291
O 0.278 9.206 5.117
O 2.673 18.260 1.764
O 1.085 1.179 4.397
O 3.480 7.976 1.044
O -0.422 0.946 6.572
O 1.972 8.209 3.219
O 4.493 4.081 1.213
O 2.099 5.074 4.567
O 1.284 12.234 5.987
O 3.678 15.232 2.634
CELL_PARAMETERS angstrom
5.760 0.000 0.000
0.000 18.311 0.000
-4.789 0.000 6.707
```



Entry 8:
This record from Materials Project describes BaH2C2O5 after structural relaxation. The functional is PBE. Values from VASP.

Summary:
- Total DFT energy (no corrections): -6.7818 eV per atom
- Energy with MP2020 corrections: -7.125 eV per atom
- Calculated formation energy: -1.935 eV/atom
- Magnetization: 0.0 μB per formula unit

```
&SYSTEM
  ibrav = 0, nat = 20, ntyp = 4
/
ATOMIC_SPECIES
Ba 137.33 Ba.upf
H 1.01 H.upf
C 12.01 C.upf
O 16.00 O.upf
ATOMIC_POSITIONS angstrom
Ba 1.050 0.000 1.896
Ba 5.543 0.000 4.063
H 4.010 0.830 1.068
H 2.583 0.830 4.891
H 4.010 -0.830 1.068
H 2.583 -0.830 4.891
C -1.400 0.785 4.533
C -1.400 -0.785 4.533
C 7.993 0.785 1.427
C 7.993 -0.785 1.427
O -0.479 1.356 3.879
O 3.768 2.663 0.778
O 2.826 2.663 5.182
O -0.479 -1.356 3.879
O 3.918 0.000 1.603
O 2.675 0.000 4.356
O 7.072 1.356 2.080
O 3.768 -2.663 0.778
O 2.826 -2.663 5.182
O 7.072 -1.356 2.080
CELL_PARAMETERS angstrom
5.163 -4.006 0.000
5.163 4.006 0.000
-3.734 0.000 5.960
```